TiVSe4 | PBE | relaxed

Properties
Total DFT energy (no corrections), eV per atom: -6.05
Formation enthalpy at 0 K, eV/f.u.: -7.21

Cell: 3.4678 5.9982 6.4349 Å, 89.78 90.00 90.00°
Last column: nearest neighbours and their distance in Å.
Fractional positions:
Ti (0.0000, 0.0000, 0.0000)  6 Se 2.55-2.56
V (0.5000, 0.5000, 0.0000)  6 Se 2.52-2.53
Se (0.0000, 0.6625, 0.7587)  2 V 2.52, 1 Ti 2.56
Se (0.5000, 0.1706, 0.7549)  1 V 2.53, 2 Ti 2.55
Se (0.5000, 0.8294, 0.2451)  1 V 2.53, 2 Ti 2.55
Se (0.0000, 0.3375, 0.2413)  2 V 2.52, 1 Ti 2.56

***

ZrTiSe4 | PBE | relaxed

Properties
Total DFT energy (no corrections), eV per atom: -6.27
Formation enthalpy at 0 K, eV/f.u.: -9.08

Cell: 3.6794 6.3978 6.6608 Å, 89.79 90.00 90.00°
Last column: nearest neighbours and their distance in Å.
Fractional positions:
Zr (0.5000, 0.5000, 0.0000)  6 Se 2.69
Ti (0.0000, 0.0000, 0.0000)  6 Se 2.59-2.60
Se (0.0000, 0.3214, 0.7609)  1 Ti 2.60, 2 Zr 2.69
Se (0.5000, 0.1536, 0.2306)  2 Ti 2.59, 1 Zr 2.69
Se (0.5000, 0.8464, 0.7694)  2 Ti 2.59, 1 Zr 2.69
Se (0.0000, 0.6786, 0.2391)  1 Ti 2.60, 2 Zr 2.69

***

TlSe | PBE | relaxed

Properties
Total DFT energy (no corrections), eV per atom: -3.01
Formation enthalpy at 0 K, eV/f.u.: -0.63

Cell: 3.7527 3.7527 3.7527 Å, 90.00 90.00 90.00°
Last column: nearest neighbours and their distance in Å.
Fractional positions:
Tl (0.5000, 0.5000, 0.5000)  8 Se 3.25
Se (0.0000, 0.0000, 0.0000)  8 Tl 3.25

***

TlSe | PBE | relaxed

Properties
Total DFT energy (no corrections), eV per atom: -3.20
Formation enthalpy at 0 K, eV/f.u.: -1.02

Cell: 6.8455 6.8455 6.8455 Å, 105.98 105.98 116.71°
Last column: nearest neighbours and their distance in Å.
Fractional positions:
Tl (0.7500, 0.7500, 0.0000)  8 Se 3.53, 2 Tl 3.59
Tl (0.2500, 0.2500, 0.0000)  8 Se 3.53, 2 Tl 3.59
Tl (0.2500, 0.7500, 0.5000)  4 Se 2.73
Tl (0.7500, 0.2500, 0.5000)  4 Se 2.73
Se (0.6766, 0.1766, 0.8531)  2 Tl 2.73
Se (0.3234, 0.8234, 0.1469)  2 Tl 2.73
Se (0.8234, 0.6766, 0.5000)  2 Tl 2.73
Se (0.1766, 0.3234, 0.5000)  2 Tl 2.73

***

TmTlSe2 | PBE | relaxed

Properties
Total DFT energy (no corrections), eV per atom: -4.83
Formation enthalpy at 0 K, eV/f.u.: -6.42

Cell: 4.1396 4.1396 8.1665 Å, 75.32 75.32 60.00°
Last column: nearest neighbours and their distance in Å.
Fractional positions:
Tm (0.0000, 0.0000, 0.0000)  6 Se 2.86
Tl (0.5000, 0.5000, 0.5000)  6 Se 3.34
Se (0.7337, 0.7337, 0.7988)  3 Tm 2.86
Se (0.2663, 0.2663, 0.2012)  3 Tm 2.86

***

Tl3VSe4 | PBE | relaxed

Properties
Total DFT energy (no corrections), eV per atom: -4.32
Formation enthalpy at 0 K, eV/f.u.: -6.29
Piezoelectric modulus e_max, C/m2: 0.2

Cell: 6.8558 6.8558 6.8558 Å, 109.47 109.47 109.47°
Last column: nearest neighbours and their distance in Å.
Fractional positions:
Tl (0.0000, 0.5000, 0.5000)  4 Se 3.23
Tl (0.5000, 0.0000, 0.5000)  4 Se 3.23
Tl (0.5000, 0.5000, 0.0000)  4 Se 3.23
V (0.0000, 0.0000, 0.0000)  4 Se 2.30
Se (0.3348, 0.0000, 0.0000)  1 V 2.30
Se (0.0000, 0.3348, 0.0000)  1 V 2.30
Se (0.0000, 0.0000, 0.3348)  1 V 2.30
Se (0.6652, 0.6652, 0.6652)  1 V 2.30

***

Tm2Se3 | PBE | relaxed

Properties
Total DFT energy (no corrections), eV per atom: -5.67
Formation enthalpy at 0 K, eV/f.u.: -10.32

Cell: 14.2854 14.2854 14.2854 Å, 144.92 144.92 50.45°
Last column: nearest neighbours and their distance in Å.
Fractional positions:
Tm (0.8460, 0.9503, 0.3735)  7 Se 2.82-3.13
Tm (0.5767, 0.4725, 0.6265)  7 Se 2.82-3.13
Tm (0.1653, 0.1653, 0.0000)  8 Se 2.84-3.13
Tm (0.8750, 0.5108, 0.1358)  6 Se 2.85-3.04
Tm (0.1733, 0.2997, 0.3958)  7 Se 2.82-3.13
Tm (0.5847, 0.0847, 0.5000)  8 Se 2.84-3.13
Tm (0.3750, 0.7392, 0.8642)  6 Se 2.85-3.04
Tm (0.9040, 0.7775, 0.6042)  7 Se 2.82-3.13
Tm (0.2225, 0.8267, 0.1265)  7 Se 2.82-3.13
Tm (0.4892, 0.6250, 0.3642)  6 Se 2.85-3.04
Tm (0.9153, 0.4153, 0.5000)  8 Se 2.84-3.13
Tm (0.2608, 0.1250, 0.6358)  6 Se 2.85-3.04
Tm (0.7003, 0.0960, 0.8735)  7 Se 2.82-3.13
Tm (0.8347, 0.8347, 0.0000)  8 Se 2.84-3.13
Tm (0.5275, 0.1540, 0.1042)  7 Se 2.82-3.13
Tm (0.0497, 0.4233, 0.8958)  7 Se 2.82-3.13
Se (0.5033, 0.1223, 0.2561)  4 Tm 2.84-3.07
Se (0.0754, 0.8277, 0.6155)  5 Tm 2.82-3.13
Se (0.8662, 0.2473, 0.7439)  4 Tm 2.84-3.07
Se (0.8838, 0.1277, 0.8811)  4 Tm 2.84-3.07
Se (0.2467, 0.0027, 0.1189)  4 Tm 2.84-3.07
Se (0.6746, 0.7901, 0.2523)  5 Tm 2.82-3.13
Se (0.2122, 0.4599, 0.3845)  5 Tm 2.82-3.13
Se (0.8387, 0.4386, 0.2422)  5 Tm 2.82-3.13
Se (0.5378, 0.4223, 0.7477)  5 Tm 2.82-3.13
Se (0.4035, 0.1613, 0.5999)  5 Tm 2.82-3.13
Se (0.1964, 0.5965, 0.7578)  5 Tm 2.82-3.13
Se (0.2099, 0.4622, 0.8845)  5 Tm 2.82-3.13
Se (0.5777, 0.3254, 0.1155)  5 Tm 2.82-3.13
Se (0.9973, 0.1162, 0.2439)  4 Tm 2.84-3.07
Se (0.5614, 0.8036, 0.4001)  5 Tm 2.82-3.13
Se (0.1723, 0.7878, 0.2477)  5 Tm 2.82-3.13
Se (0.8723, 0.7533, 0.7561)  4 Tm 2.84-3.07
Se (0.7527, 0.4967, 0.6189)  4 Tm 2.84-3.07
Se (0.5401, 0.9246, 0.7523)  5 Tm 2.82-3.13
Se (0.5536, 0.8114, 0.9001)  5 Tm 2.82-3.13
Se (0.9113, 0.6535, 0.0999)  5 Tm 2.82-3.13
Se (0.8777, 0.1338, 0.3811)  4 Tm 2.84-3.07
Se (0.3465, 0.4464, 0.2578)  5 Tm 2.82-3.13
Se (0.1886, 0.0887, 0.7422)  5 Tm 2.82-3.13

***

TmSe2 | PBE | relaxed

Properties
Total DFT energy (no corrections), eV per atom: -5.32
Formation enthalpy at 0 K, eV/f.u.: -5.45

Cell: 4.0426 4.0426 8.2439 Å, 90.00 90.00 90.00°
Last column: nearest neighbours and their distance in Å.
Fractional positions:
Tm (0.0000, 0.5000, 0.7259)  9 Se 2.92-3.03
Tm (0.5000, 0.0000, 0.2741)  9 Se 2.92-3.03
Se (0.0000, 0.0000, 0.0000)  4 Se 2.86, 4 Tm 3.03
Se (0.5000, 0.5000, 0.0000)  4 Se 2.86, 4 Tm 3.03
Se (0.0000, 0.5000, 0.3711)  5 Tm 2.92-2.97
Se (0.5000, 0.0000, 0.6289)  5 Tm 2.92-2.97

***

Tm2Se3 | PBE | relaxed

Properties
Total DFT energy (no corrections), eV per atom: -5.76
Formation enthalpy at 0 K, eV/f.u.: -10.75

Cell: 13.3974 12.7886 7.0137 Å, 79.32 69.72 30.96°
Last column: nearest neighbours and their distance in Å.
Fractional positions:
Tm (0.3336, 0.3336, 0.1664)  6 Se 2.82-2.86
Tm (0.1664, 0.1664, 0.3336)  6 Se 2.82-2.86
Tm (0.9164, 0.9164, 0.0836)  6 Se 2.82-2.86
Tm (0.0836, 0.0836, 0.9164)  6 Se 2.82-2.86
Tm (0.9977, 0.9977, 0.5023)  6 Se 2.83-2.85
Tm (0.5023, 0.5023, 0.9977)  6 Se 2.83-2.85
Tm (0.2523, 0.2523, 0.7477)  6 Se 2.83-2.85
Tm (0.7477, 0.7477, 0.2523)  6 Se 2.83-2.85
Se (0.0078, 0.4922, 0.4922)  4 Tm 2.83-2.85
Se (0.4922, 0.0078, 0.0078)  4 Tm 2.83-2.85
Se (0.2422, 0.7578, 0.7578)  4 Tm 2.83-2.85
Se (0.7578, 0.2422, 0.2422)  4 Tm 2.83-2.85
Se (0.6637, 0.1739, 0.8420)  4 Tm 2.82-2.86
Se (0.8420, 0.3204, 0.6637)  4 Tm 2.82-2.86
Se (0.3204, 0.8420, 0.1739)  4 Tm 2.82-2.86
Se (0.1739, 0.6637, 0.3204)  4 Tm 2.82-2.86
Se (0.5863, 0.0761, 0.4080)  4 Tm 2.82-2.86
Se (0.4080, 0.9296, 0.5863)  4 Tm 2.82-2.86
Se (0.9296, 0.4080, 0.0761)  4 Tm 2.82-2.86
Se (0.0761, 0.5863, 0.9296)  4 Tm 2.82-2.86

***

USe3 | PBE | relaxed

Properties
Total DFT energy (no corrections), eV per atom: -6.38
Formation enthalpy at 0 K, eV/f.u.: -5.15

Cell: 4.0348 5.7143 10.1971 Å, 97.49 90.00 90.00°
Last column: nearest neighbours and their distance in Å.
Fractional positions:
U (0.2500, 0.2176, 0.8607)  8 Se 2.89-2.96
U (0.7500, 0.7824, 0.1393)  8 Se 2.89-2.96
Se (0.2500, 0.6157, 0.3116)  1 Se 2.38
Se (0.7500, 0.3843, 0.6884)  1 Se 2.38
Se (0.7500, 0.2653, 0.0648)  4 U 2.89-2.96
Se (0.2500, 0.7347, 0.9352)  4 U 2.89-2.96
Se (0.7500, 0.9689, 0.6896)  1 Se 2.38
Se (0.2500, 0.0311, 0.3104)  1 Se 2.38

***

U3Se4 | PBE | relaxed

Properties
Total DFT energy (no corrections), eV per atom: -7.92
Formation enthalpy at 0 K, eV/f.u.: -9.48

Cell: 7.5090 7.5090 7.5090 Å, 109.47 109.47 109.47°
Last column: nearest neighbours and their distance in Å.
Fractional positions:
U (0.8750, 0.2500, 0.1250)  8 Se 2.94-3.07
U (0.1250, 0.8750, 0.2500)  8 Se 2.94-3.07
U (0.3750, 0.6250, 0.7500)  8 Se 2.94-3.07
U (0.2500, 0.1250, 0.8750)  8 Se 2.94-3.07
U (0.7500, 0.3750, 0.6250)  8 Se 2.94-3.07
U (0.6250, 0.7500, 0.3750)  8 Se 2.94-3.07
Se (0.5000, 0.0000, 0.6524)  6 U 2.94-3.07
Se (0.1524, 0.5000, 0.0000)  6 U 2.94-3.07
Se (0.3476, 0.3476, 0.3476)  6 U 2.94-3.07
Se (0.0000, 0.1524, 0.5000)  6 U 2.94-3.07
Se (0.8476, 0.8476, 0.8476)  6 U 2.94-3.07
Se (0.0000, 0.6524, 0.5000)  6 U 2.94-3.07
Se (0.5000, 0.0000, 0.1524)  6 U 2.94-3.07
Se (0.6524, 0.5000, 0.0000)  6 U 2.94-3.07

***

U2Se3 | PBE | relaxed

Properties
Total DFT energy (no corrections), eV per atom: -7.79
Formation enthalpy at 0 K, eV/f.u.: -7.30

Cell: 3.9865 10.9947 11.0696 Å, 90.00 90.00 90.00°
Last column: nearest neighbours and their distance in Å.
Fractional positions:
U (0.7500, 0.8160, 0.4869)  7 Se 2.89-2.91
U (0.7500, 0.4906, 0.3103)  7 Se 2.93-2.98
U (0.2500, 0.9906, 0.1897)  7 Se 2.93-2.98
U (0.7500, 0.0094, 0.8103)  7 Se 2.93-2.98
U (0.2500, 0.3160, 0.0131)  7 Se 2.89-2.91
U (0.7500, 0.6840, 0.9869)  7 Se 2.89-2.91
U (0.2500, 0.5094, 0.6897)  7 Se 2.93-2.98
U (0.2500, 0.1840, 0.5131)  7 Se 2.89-2.91
Se (0.2500, 0.5549, 0.1249)  5 U 2.89-2.95
Se (0.7500, 0.3714, 0.5516)  5 U 2.90-2.98
Se (0.2500, 0.6286, 0.4484)  5 U 2.90-2.98
Se (0.2500, 0.2952, 0.2747)  4 U 2.90-2.96
Se (0.2500, 0.2048, 0.7747)  4 U 2.90-2.96
Se (0.7500, 0.1286, 0.0516)  5 U 2.90-2.98
Se (0.7500, 0.7048, 0.7253)  4 U 2.90-2.96
Se (0.2500, 0.8714, 0.9484)  5 U 2.90-2.98
Se (0.7500, 0.7952, 0.2253)  4 U 2.90-2.96
Se (0.7500, 0.0549, 0.3751)  5 U 2.89-2.95
Se (0.7500, 0.4451, 0.8751)  5 U 2.89-2.95
Se (0.2500, 0.9451, 0.6249)  5 U 2.89-2.95